Here is an optimized crystal structure of Mn11C2N10 from the Materials Project database. Energies are from GGA-PBE.

Summary:
- Space group: P4_2/mnm, No. 136
- Total moment: 1.111 μB/atom
- ΔE_f: -2.1 eV/f.u.

Cell lengths 12.781, 12.781, 2.841 Å; angles 90.00, 90.00, 90.00 degrees
Positions (direct):
Mn: 0.000 0.000 0.000
Mn: 0.005 0.220 0.500
Mn: 0.074 0.592 0.500
Mn: 0.092 0.426 0.000
Mn: 0.155 0.845 0.000
Mn: 0.220 0.005 0.500
Mn: 0.280 0.505 0.000
Mn: 0.345 0.345 0.500
Mn: 0.408 0.926 0.500
Mn: 0.426 0.092 0.000
Mn: 0.495 0.720 0.000
Mn: 0.500 0.500 0.500
Mn: 0.505 0.280 0.000
Mn: 0.574 0.908 0.000
Mn: 0.592 0.074 0.500
Mn: 0.655 0.655 0.500
Mn: 0.720 0.495 0.000
Mn: 0.780 0.995 0.500
Mn: 0.845 0.155 0.000
Mn: 0.908 0.574 0.000
Mn: 0.926 0.408 0.500
Mn: 0.995 0.780 0.500
C: 0.197 0.197 0.000
C: 0.303 0.697 0.500
C: 0.697 0.303 0.500
C: 0.803 0.803 0.000
N: 0.016 0.677 0.000
N: 0.083 0.917 0.500
N: 0.128 0.128 0.000
N: 0.177 0.484 0.500
N: 0.235 0.765 0.500
N: 0.265 0.265 0.000
N: 0.323 0.984 0.000
N: 0.372 0.628 0.500
N: 0.417 0.417 0.000
N: 0.484 0.177 0.500
N: 0.516 0.823 0.500
N: 0.583 0.583 0.000
N: 0.628 0.372 0.500
N: 0.677 0.016 0.000
N: 0.735 0.735 0.000
N: 0.765 0.235 0.500
N: 0.823 0.516 0.500
N: 0.872 0.872 0.000
N: 0.917 0.083 0.500
N: 0.984 0.323 0.000